Li5FeS4 (PBE-GGA, relaxed); polymorph energy (0 for the lowest one) = 0.003 eV/atom; space-group type = Pbca; ΔH_f (0 K) = -1264.0 meV/atom; final energy = -4.5189 eV per atom
1.0
-3.722 10.484 2.740
-5.090 -4.240 9.310
9.302 1.763 5.889
Li S Fe
40 32 8
Direct
0.384 0.615 0.849
0.114 0.617 0.143
0.384 0.885 0.349
0.116 0.385 0.349
0.116 0.115 0.849
0.114 0.883 0.643
0.886 0.117 0.357
0.884 0.885 0.151
0.614 0.617 0.357
0.150 0.376 0.889
0.359 0.379 0.104
0.614 0.883 0.857
0.650 0.376 0.611
0.884 0.615 0.651
0.359 0.121 0.604
0.850 0.624 0.111
0.641 0.621 0.896
0.141 0.879 0.104
0.386 0.383 0.643
0.141 0.621 0.604
0.350 0.876 0.889
0.386 0.117 0.143
0.882 0.146 0.628
0.350 0.624 0.389
0.382 0.146 0.872
0.616 0.385 0.151
0.150 0.124 0.389
0.382 0.354 0.372
0.618 0.646 0.628
0.859 0.121 0.896
0.618 0.854 0.128
0.882 0.354 0.128
0.641 0.879 0.396
0.118 0.854 0.372
0.616 0.115 0.651
0.650 0.124 0.111
0.886 0.383 0.857
0.859 0.379 0.396
0.850 0.876 0.611
0.118 0.646 0.872
0.491 0.746 0.992
0.531 0.010 0.257
0.256 0.750 0.237
0.509 0.254 0.008
0.756 0.750 0.763
0.009 0.254 0.492
0.531 0.490 0.757
0.009 0.246 0.992
0.469 0.990 0.743
0.469 0.510 0.243
0.753 0.970 0.000
0.247 0.030 0.000
0.253 0.970 0.500
0.969 0.990 0.757
0.969 0.510 0.257
0.991 0.746 0.508
0.744 0.250 0.263
0.247 0.470 0.500
0.244 0.250 0.737
0.031 0.490 0.743
0.031 0.010 0.243
0.244 0.250 0.237
0.753 0.530 0.500
0.744 0.250 0.763
0.991 0.754 0.008
0.509 0.246 0.508
0.756 0.750 0.263
0.491 0.754 0.492
0.256 0.750 0.737
0.747 0.030 0.500
0.747 0.470 0.000
0.253 0.530 0.000
0.875 0.861 0.882
0.375 0.861 0.618
0.875 0.639 0.382
0.625 0.361 0.882
0.125 0.361 0.618
0.125 0.139 0.118
0.375 0.639 0.118
0.625 0.139 0.382

Li8FeS6 (PBE-GGA, relaxed); space-group type = P6_3cm; ΔH_f (0 K) = -1268.2 meV/atom; final energy = -4.3043 eV per atom
1.0
3.406 -5.899 0.000
3.406 5.899 0.000
0.000 0.000 13.462
Li S Fe
16 12 2
Direct
0.687 0.687 0.267
0.313 0.313 0.767
0.371 0.000 0.630
0.000 0.313 0.267
0.371 0.371 0.130
0.000 0.629 0.130
0.667 0.333 0.901
0.313 0.000 0.267
0.000 0.371 0.630
0.687 0.000 0.767
0.000 0.687 0.767
0.667 0.333 0.401
0.629 0.629 0.630
0.333 0.667 0.401
0.333 0.667 0.901
0.629 0.000 0.130
0.333 0.667 0.717
0.000 0.000 0.170
0.695 0.000 0.951
0.667 0.333 0.717
0.000 0.305 0.451
0.667 0.333 0.217
0.695 0.695 0.451
0.000 0.000 0.670
0.333 0.667 0.217
0.305 0.305 0.951
0.000 0.695 0.951
0.305 0.000 0.451
0.000 0.000 0.000
0.000 0.000 0.500

LiFeS2 (PBE-GGA, relaxed); space-group type = P2_1/c; ΔH_f (0 K) = -872.8 meV/atom; final energy = -5.2843 eV per atom
1.0
6.160 0.000 0.000
0.000 6.295 0.000
0.000 2.706 6.845
S Li Fe
8 4 4
Direct
0.763 0.998 0.338
0.737 0.498 0.338
0.237 0.002 0.662
0.193 0.800 0.106
0.307 0.300 0.106
0.263 0.502 0.662
0.807 0.200 0.894
0.693 0.700 0.894
0.898 0.662 0.618
0.398 0.838 0.382
0.102 0.338 0.382
0.602 0.162 0.618
0.164 0.157 0.889
0.336 0.657 0.889
0.664 0.343 0.111
0.836 0.843 0.111

Li2Fe3S4 (PBE-GGA, relaxed); polymorph energy (0 for the lowest one) = 0.106 eV/atom; space-group type = C2/c; ΔH_f (0 K) = -640.3 meV/atom; final energy = -5.5027 eV per atom
1.0
4.750 4.809 0.000
-4.750 4.809 0.000
0.000 0.272 5.934
S Fe Li
8 6 4
Direct
0.747 0.986 0.032
0.521 0.224 0.525
0.014 0.253 0.468
0.479 0.776 0.475
0.986 0.747 0.532
0.253 0.014 0.968
0.224 0.521 0.025
0.776 0.479 0.975
0.786 0.214 0.750
0.783 0.002 0.419
0.214 0.786 0.250
0.998 0.217 0.081
0.217 0.998 0.581
0.002 0.783 0.919
0.485 0.270 0.111
0.515 0.730 0.889
0.730 0.515 0.389
0.270 0.485 0.611

Li4FeS3 (PBE-GGA, relaxed); space-group type = Pbca; ΔH_f (0 K) = -1145.7 meV/atom; final energy = -4.5214 eV per atom
1.0
8.650 0.000 0.000
0.000 11.445 0.000
0.000 0.000 12.475
S Li Fe
24 32 8
Direct
0.574 0.678 0.405
0.426 0.822 0.905
0.647 0.511 0.123
0.791 0.311 0.340
0.074 0.822 0.405
0.291 0.189 0.340
0.426 0.322 0.595
0.853 0.011 0.877
0.647 0.011 0.377
0.209 0.689 0.660
0.291 0.689 0.160
0.853 0.511 0.623
0.574 0.178 0.095
0.926 0.178 0.595
0.074 0.322 0.095
0.709 0.811 0.660
0.353 0.989 0.623
0.791 0.811 0.160
0.709 0.311 0.840
0.147 0.489 0.377
0.353 0.489 0.877
0.147 0.989 0.123
0.209 0.189 0.840
0.926 0.678 0.905
0.544 0.875 0.508
0.936 0.198 0.788
0.956 0.375 0.492
0.157 0.506 0.177
0.343 0.006 0.823
0.208 0.176 0.640
0.708 0.324 0.640
0.843 0.494 0.823
0.708 0.824 0.860
0.292 0.676 0.360
0.843 0.994 0.677
0.157 0.006 0.323
0.657 0.494 0.323
0.564 0.198 0.288
0.544 0.375 0.992
0.956 0.875 0.008
0.208 0.676 0.860
0.792 0.324 0.140
0.343 0.506 0.677
0.564 0.698 0.212
0.064 0.302 0.288
0.292 0.176 0.140
0.044 0.125 0.992
0.456 0.625 0.008
0.657 0.994 0.177
0.792 0.824 0.360
0.456 0.125 0.492
0.064 0.802 0.212
0.436 0.302 0.788
0.044 0.625 0.508
0.436 0.802 0.712
0.936 0.698 0.712
0.697 0.649 0.559
0.303 0.851 0.059
0.803 0.149 0.441
0.197 0.351 0.941
0.803 0.649 0.059
0.197 0.851 0.559
0.697 0.149 0.941
0.303 0.351 0.441

Li2Fe2S3 (PBE-GGA, relaxed); polymorph energy (0 for the lowest one) = 0.070 eV/atom; space-group type = P2_1/c; ΔH_f (0 K) = -828.2 meV/atom; final energy = -5.3508 eV per atom
1.0
-3.481 -3.965 3.367
-2.541 -2.146 -5.155
3.498 -5.688 -3.083
Fe S Li
4 6 4
Direct
0.641 0.877 0.978
0.859 0.377 0.978
0.359 0.123 0.022
0.141 0.623 0.022
0.981 0.333 0.302
0.000 0.000 0.000
0.519 0.833 0.302
0.500 0.500 0.000
0.481 0.167 0.698
0.019 0.667 0.698
0.384 0.586 0.638
0.616 0.414 0.362
0.884 0.914 0.362
0.116 0.086 0.638

Li5FeS4 (PBE-GGA, relaxed); polymorph energy (0 for the lowest one) = 0.037 eV/atom; space-group type = Pbca; ΔH_f (0 K) = -1230.4 meV/atom; final energy = -4.4852 eV per atom
1.0
11.266 0.000 0.000
0.000 6.403 0.000
0.000 0.000 19.411
Li S Fe
40 32 8
Direct
0.843 0.608 0.660
0.953 0.959 0.565
0.343 0.608 0.840
0.414 0.116 0.754
0.914 0.384 0.246
0.212 0.533 0.140
0.658 0.589 0.994
0.158 0.589 0.506
0.657 0.108 0.660
0.712 0.967 0.860
0.414 0.384 0.254
0.953 0.541 0.065
0.343 0.892 0.340
0.788 0.033 0.360
0.047 0.041 0.435
0.842 0.411 0.494
0.157 0.108 0.840
0.788 0.467 0.860
0.047 0.459 0.935
0.288 0.467 0.640
0.158 0.911 0.006
0.453 0.541 0.435
0.658 0.911 0.494
0.342 0.089 0.506
0.586 0.616 0.746
0.342 0.411 0.006
0.842 0.089 0.994
0.914 0.116 0.746
0.547 0.041 0.065
0.547 0.459 0.565
0.157 0.392 0.340
0.288 0.033 0.140
0.657 0.392 0.160
0.086 0.616 0.754
0.843 0.892 0.160
0.212 0.967 0.640
0.712 0.533 0.360
0.453 0.959 0.935
0.086 0.884 0.254
0.586 0.884 0.246
0.151 0.757 0.378
0.362 0.806 0.035
0.862 0.736 0.777
0.651 0.743 0.622
0.440 0.312 0.124
0.560 0.812 0.376
0.362 0.764 0.223
0.060 0.812 0.124
0.560 0.688 0.876
0.849 0.243 0.622
0.862 0.806 0.465
0.638 0.194 0.965
0.638 0.264 0.277
0.638 0.306 0.465
0.940 0.188 0.876
0.651 0.757 0.122
0.151 0.743 0.878
0.138 0.194 0.535
0.138 0.306 0.035
0.362 0.694 0.535
0.349 0.243 0.878
0.940 0.312 0.376
0.862 0.694 0.965
0.638 0.236 0.777
0.440 0.188 0.624
0.849 0.257 0.122
0.138 0.264 0.223
0.362 0.736 0.723
0.138 0.236 0.723
0.862 0.764 0.277
0.060 0.688 0.624
0.349 0.257 0.378
0.543 0.163 0.374
0.043 0.337 0.626
0.457 0.837 0.626
0.543 0.337 0.874
0.457 0.663 0.126
0.043 0.163 0.126
0.957 0.837 0.874
0.957 0.663 0.374

LiFe2S4 (PBE-GGA, relaxed); space-group type = Fd-3m; ΔH_f (0 K) = -805.8 meV/atom; final energy = -5.5748 eV per atom
1.0
-5.508 3.746 1.688
-3.046 3.953 -4.724
-6.194 -1.709 -2.434
S Fe Li
8 4 2
Direct
0.361 0.361 0.918
0.889 0.889 0.889
0.889 0.332 0.889
0.361 0.361 0.361
0.918 0.361 0.361
0.889 0.889 0.332
0.332 0.889 0.889
0.361 0.918 0.361
0.125 0.125 0.625
0.125 0.125 0.125
0.125 0.625 0.125
0.625 0.125 0.125
0.750 0.750 0.750
0.500 0.500 0.500

Li6FeS4 (PBE-GGA, relaxed); polymorph energy (0 for the lowest one) = 0.000 eV/atom; space-group type = P4_2/nmc; ΔH_f (0 K) = -1282.6 meV/atom; final energy = -4.4151 eV per atom
1.0
-7.643 -2.054 -0.854
1.289 -6.581 4.290
-1.332 2.924 4.886
S Li Fe
8 12 2
Direct
0.000 0.254 0.716
0.754 0.500 0.216
0.246 0.500 0.216
0.500 0.246 0.784
0.500 0.754 0.784
0.254 0.000 0.284
0.000 0.746 0.716
0.746 0.000 0.284
0.000 0.500 0.460
0.500 0.000 0.540
0.000 0.500 0.960
0.273 0.273 0.500
0.727 0.727 0.500
0.273 0.727 0.500
0.227 0.227 0.000
0.773 0.773 0.000
0.227 0.773 0.000
0.773 0.227 0.000
0.727 0.273 0.500
0.500 0.000 0.040
0.500 0.500 0.000
0.000 0.000 0.500

Li2Fe2S3 (PBE-GGA, relaxed); polymorph energy (0 for the lowest one) = 0.017 eV/atom; space-group type = C2/c; ΔH_f (0 K) = -880.9 meV/atom; final energy = -5.4035 eV per atom
1.0
6.258 6.824 0.000
-6.258 6.824 0.000
0.000 2.070 5.932
Li Fe S
8 8 12
Direct
0.077 0.578 0.754
0.923 0.422 0.246
0.578 0.077 0.254
0.772 0.629 0.712
0.629 0.772 0.212
0.371 0.228 0.788
0.422 0.923 0.746
0.228 0.371 0.288
0.976 0.158 0.845
0.484 0.516 0.750
0.842 0.024 0.655
0.317 0.683 0.250
0.516 0.484 0.250
0.024 0.842 0.155
0.683 0.317 0.750
0.158 0.976 0.345
0.037 0.192 0.449
0.963 0.808 0.551
0.386 0.872 0.396
0.470 0.306 0.065
0.192 0.037 0.949
0.694 0.530 0.435
0.530 0.694 0.935
0.808 0.963 0.051
0.306 0.470 0.565
0.872 0.386 0.896
0.614 0.128 0.604
0.128 0.614 0.104

Number 1: total magnetization 0.50 μB/atom. Number 2: total magnetization 0.27 μB/atom. Number 3: total magnetization 0.50 μB/atom. Number 4: total magnetization 0.03 μB/atom. Number 5: total magnetization 0.50 μB/atom. Number 6: total magnetization 1.14 μB/atom. Number 7: total magnetization 0.50 μB/atom. Number 8: total magnetization 0.43 μB/atom. Number 9: total magnetization 0.36 μB/atom. Number 10: total magnetization 1.14 μB/atom.